w | VASP calculation (PBE with a Hubbard U) on crystalline Li3Cr2P3O12 at its relaxed geometry.

Lattice parameters (Å, degrees): 8.6720 8.7276 14.9666 90.00 125.36 90.00
Space group P2_1/c (No. 14)
Asymmetric unit:
Li1 0.0074 0.2313 0.3143 x4
Li2 0.2327 0.0715 0.2872 x4
Li3 0.4066 0.2279 0.1809 x4
Cr1 0.1458 0.5374 0.3889 x4
Cr2 0.3601 0.5409 0.1131 x4
P1 0.0415 0.1076 0.6466 x4
P2 0.2544 0.6002 0.6456 x4
P3 0.4550 0.2483 0.4981 x4
O1 0.0267 0.2280 0.1839 x4
O2 0.0356 0.5139 0.2221 x4
O3 0.0916 0.5913 0.6619 x4
O4 0.1247 0.5754 0.9703 x4
O5 0.1893 0.5553 0.5314 x4
O6 0.2332 0.1006 0.6612 x4
O7 0.2642 0.1665 0.9185 x4
O8 0.3394 0.7372 0.1791 x4
O9 0.3764 0.6458 0.4310 x4
O10 0.3988 0.0223 0.2294 x4
O11 0.4317 0.1568 0.5787 x4
O12 0.4709 0.1408 0.4213 x4

Properties
V, Å³/f.u.: 231.0

=====

x | VASP calculation (PBE with a Hubbard U) on crystalline Li3Cr2P3O12 at its relaxed geometry.

Lattice parameters (Å, degrees): 11.7986 12.2320 6.3489 90.00 114.13 90.00
Space group C2/c (No. 15)
Asymmetric unit:
Li1 0.0000 0.0000 0.0000 x4
Li2 0.0000 0.2203 0.2500 x4
Li3 0.0000 0.4734 0.7500 x4
Cr1 0.2193 0.3388 0.1385 x8
P1 0.0000 0.2160 0.7500 x4
P2 0.2423 0.3973 0.6324 x8
O1 0.0451 0.2920 0.9670 x8
O2 0.0987 0.1382 0.7288 x8
O3 0.1210 0.0824 0.3003 x8
O4 0.1621 0.4963 0.1055 x8
O5 0.1752 0.3340 0.4024 x8
O6 0.2284 0.3230 0.8269 x8

Properties
V, Å³/f.u.: 209.1

=====

y | VASP calculation (PBE with a Hubbard U) on crystalline Li3Cr2P3O12 at its relaxed geometry.

Lattice parameters (Å, degrees): 8.8238 9.0774 15.0148 81.59 72.98 60.96
Space group P1 (No. 1)
Asymmetric unit:
Li1 0.0000 0.0000 0.0000 x1
Li2 0.0072 0.4882 0.5006 x1
Li3 0.1028 0.4245 0.1519 x1
Li4 0.1999 0.7148 0.5576 x1
Li5 0.3260 0.9206 0.6507 x1
Li6 0.4102 0.2398 0.7479 x1
Li7 0.4768 0.7728 0.9425 x1
Li8 0.5354 0.2151 0.0572 x1
Li9 0.6103 0.7429 0.2488 x1
Li10 0.6798 0.0684 0.3488 x1
Li11 0.8117 0.2751 0.4411 x1
Li12 0.9119 0.5664 0.8485 x1
Cr1 0.1750 0.0158 0.1638 x1
Cr2 0.2454 0.0381 0.4684 x1
Cr3 0.2506 0.5389 0.9701 x1
Cr4 0.3601 0.4741 0.3346 x1
Cr5 0.6485 0.5148 0.6649 x1
Cr6 0.7578 0.4524 0.0302 x1
Cr7 0.7666 0.9498 0.5297 x1
Cr8 0.8347 0.9760 0.8347 x1
P1 0.1082 0.8530 0.3719 x1
P2 0.1921 0.2132 0.9697 x1
P3 0.2241 0.2125 0.3091 x1
P4 0.2574 0.7123 0.8110 x1
P5 0.3393 0.6377 0.1273 x1
P6 0.3821 0.2767 0.5287 x1
P7 0.6289 0.7122 0.4700 x1
P8 0.6688 0.3541 0.8732 x1
P9 0.7506 0.2785 0.1889 x1
P10 0.7881 0.7773 0.6896 x1
P11 0.8173 0.7782 0.0293 x1
P12 0.9007 0.1373 0.6260 x1
O1 0.0135 0.7428 0.0174 x1
O2 0.0655 0.2173 0.3927 x1
O3 0.0929 0.8836 0.8047 x1
O4 0.1048 0.0138 0.6003 x1
O5 0.1298 0.6742 0.3724 x1
O6 0.1800 0.3600 0.0198 x1
O7 0.1818 0.8156 0.1264 x1
O8 0.1987 0.8530 0.4464 x1
O9 0.2022 0.1974 0.2117 x1
O10 0.2038 0.9097 0.2823 x1
O11 0.2099 0.5646 0.8385 x1
O12 0.2254 0.3832 0.3015 x1
O13 0.2340 0.2406 0.5158 x1
O14 0.2726 0.0476 0.0287 x1
O15 0.2836 0.5145 0.1017 x1
O16 0.3019 0.1873 0.8696 x1
O17 0.3297 0.7160 0.8939 x1
O18 0.3566 0.4411 0.4688 x1
O19 0.3648 0.3061 0.6284 x1
O20 0.3908 0.6966 0.7131 x1
O21 0.3917 0.0649 0.3368 x1
O22 0.3988 0.5842 0.2180 x1
O23 0.4439 0.8596 0.5192 x1
O24 0.5038 0.3531 0.9470 x1
O25 0.5050 0.6391 0.0544 x1
O26 0.5665 0.1285 0.4802 x1
O27 0.6099 0.4051 0.7823 x1
O28 0.6172 0.2916 0.2863 x1
O29 0.6222 0.9287 0.6626 x1
O30 0.6450 0.6852 0.3701 x1
O31 0.6534 0.5475 0.5298 x1
O32 0.6788 0.2756 0.1054 x1
O33 0.7053 0.8083 0.1289 x1
O34 0.7238 0.4783 0.8983 x1
O35 0.7376 0.9419 0.9688 x1
O36 0.7775 0.7475 0.4826 x1
O37 0.7796 0.6100 0.6978 x1
O38 0.7956 0.4278 0.1625 x1
O39 0.8047 0.0832 0.7166 x1
O40 0.8078 0.1388 0.5523 x1
O41 0.8132 0.7909 0.7864 x1
O42 0.8264 0.1759 0.8745 x1
O43 0.8303 0.6296 0.9807 x1
O44 0.8810 0.3157 0.6257 x1
O45 0.9035 0.9743 0.3971 x1
O46 0.9165 0.1080 0.1938 x1
O47 0.9474 0.7693 0.6055 x1
O48 0.9952 0.2488 0.9824 x1

Properties
V, Å³/f.u.: 251.3

=====

Each structure's energy above the most stable one, in eV/atom: w 0.000; x 0.032; y 0.088.

=====

w | VASP calculation (PBE with a Hubbard U) on crystalline Li3Cr2P3O12 at its relaxed geometry.

Lattice parameters (Å, degrees): 14.7756 8.7596 8.5529 90.00 123.96 90.00
Space group C2 (No. 5)
Asymmetric unit:
Li1 0.0000 0.0000 0.0000 x2
Li2 0.0000 0.3042 0.5000 x2
Li3 0.2030 0.6970 0.9038 x4
Li4 0.2491 0.8967 0.2776 x4
Cr1 0.1045 0.4004 0.8946 x4
Cr2 0.1083 0.8974 0.3921 x4
P1 0.0000 0.6105 0.5000 x2
P2 0.0000 0.6949 0.0000 x2
P3 0.1433 0.0442 0.7915 x4
P4 0.1487 0.2510 0.2977 x4
O1 0.0408 0.3058 0.2684 x4
O2 0.0419 0.9854 0.7801 x4
O3 0.0653 0.6009 0.9443 x4
O4 0.0688 0.7051 0.4558 x4
O5 0.0841 0.5003 0.6627 x4
O6 0.0855 0.8038 0.1581 x4
O7 0.1440 0.0076 0.6196 x4
O8 0.1534 0.0732 0.2956 x4
O9 0.1590 0.2222 0.8153 x4
O10 0.1608 0.2954 0.1356 x4
O11 0.2389 0.3197 0.4882 x4
O12 0.2402 0.9766 0.9828 x4

Properties
V, Å³/f.u.: 229.5

=====

x | VASP calculation (PBE with a Hubbard U) on crystalline Li3Cr2P3O12 at its relaxed geometry.

Lattice parameters (Å, degrees): 11.7316 11.7316 11.7316 90.00 90.00 90.00
Space group Ia-3d (No. 230)
Asymmetric unit:
Li1 0.0000 0.2500 0.1250 x24
Cr1 0.0000 0.0000 0.0000 x16
P1 0.0000 0.2500 0.3750 x24
O1 0.0417 0.0483 0.6584 x96

Properties
V, Å³/f.u.: 201.8

=====

y | VASP calculation (PBE with a Hubbard U) on crystalline Li3Cr2P3O12 at its relaxed geometry.

Lattice parameters (Å, degrees): 14.9094 8.6838 8.5720 90.00 123.80 90.00
Space group Cc (No. 9)
Asymmetric unit:
Li1 0.0000 0.1245 0.0000 x4
Li2 0.1791 0.3700 0.0384 x4
Li3 0.3719 0.1296 0.0976 x4
Cr1 0.0802 0.2518 0.6574 x4
Cr2 0.2907 0.2523 0.4325 x4
P1 0.0462 0.3860 0.2526 x4
P2 0.1855 0.0446 0.0451 x4
P3 0.3246 0.3857 0.8380 x4
O1 0.0242 0.4374 0.7206 x4
O2 0.0708 0.3584 0.4481 x4
O3 0.0961 0.1532 0.8886 x4
O4 0.1214 0.0484 0.6044 x4
O5 0.1424 0.3351 0.2401 x4
O6 0.2281 0.3348 0.8498 x4
O7 0.2492 0.0483 0.4851 x4
O8 0.2746 0.1529 0.2019 x4
O9 0.3005 0.3576 0.6429 x4
O10 0.3476 0.4383 0.3727 x4
O11 0.4216 0.2955 0.9990 x4
O12 0.4492 0.2038 0.5916 x4

Properties
V, Å³/f.u.: 230.6

=====

Each structure's energy above the most stable one, in eV/atom: w 0.028; x 0.021; y 0.000.

=====

w | VASP calculation (PBE with a Hubbard U) on crystalline AlCuW2O8 at its relaxed geometry.

Lattice parameters (Å, degrees): 5.0722 5.6015 5.7294 109.79 90.73 113.68
Space group P-1 (No. 2)
Asymmetric unit:
Al1 0.0000 0.0000 0.0000 x1
Cu1 0.5000 0.0000 0.5000 x1
W1 0.2487 0.4984 0.6839 x2
O1 0.1570 0.7024 0.4614 x2
O2 0.2103 0.7797 0.9373 x2
O3 0.2245 0.2411 0.8241 x2
O4 0.3208 0.2879 0.3131 x2

Properties
V, Å³/f.u.: 138.2

=====

x | VASP calculation (PBE with a Hubbard U) on crystalline AlCuW2O8 at its relaxed geometry.

Lattice parameters (Å, degrees): 5.0216 5.6788 10.3829 90.00 118.16 90.00
Space group P2/c (No. 13)
Asymmetric unit:
Al1 0.0000 0.1620 0.2500 x2
Cu1 0.5000 0.1536 0.7500 x2
W1 0.2403 0.3268 0.9972 x4
O1 0.1812 0.3870 0.6144 x4
O2 0.2099 0.1469 0.1397 x4
O3 0.2487 0.0960 0.8733 x4
O4 0.3073 0.3846 0.3888 x4

Properties
V, Å³/f.u.: 130.5

=====

Each structure's energy above the most stable one, in eV/atom: w 0.048; x 0.000.